Rb4CeH12C3O17 (PBE, relaxed); ΔE_f = -45.78 eV per formula unit; relative energy among the computed polymorphs = 66 meV per atom; total moment = 3.0 μB/f.u.; raw total energy = -5.31 eV per atom
1.0
9.5398 0.0000 0.0000
3.0331 11.2637 0.0000
4.5179 4.7690 10.3880
Rb Ce H C O
8 2 24 6 34
direct
0.1903 0.3851 0.2453 Rb
0.2240 0.9894 0.8280 Rb
0.2946 0.4454 0.5332 Rb
0.2970 0.1342 0.0704 Rb
0.7030 0.8658 0.9296 Rb
0.7054 0.5546 0.4668 Rb
0.7760 0.0106 0.1720 Rb
0.8097 0.6149 0.7547 Rb
0.1403 0.8291 0.4871 Ce
0.8598 0.1709 0.5129 Ce
0.0023 0.0447 0.3390 H
0.0204 0.7893 0.0072 H
0.0562 0.1754 0.9658 H
0.0645 0.4160 0.9689 H
0.0861 0.6129 0.2879 H
0.1965 0.4902 0.9395 H
0.2840 0.8706 0.0820 H
0.4040 0.1935 0.4475 H
0.4496 0.6304 0.1966 H
0.4727 0.7646 0.8540 H
0.4894 0.4814 0.2328 H
0.4960 0.2539 0.0917 H
0.5040 0.7461 0.9083 H
0.5106 0.5186 0.7672 H
0.5273 0.2354 0.1460 H
0.5504 0.3696 0.8034 H
0.5960 0.8065 0.5525 H
0.7160 0.1294 0.9180 H
0.8035 0.5098 0.0605 H
0.9139 0.3871 0.7121 H
0.9355 0.5840 0.0311 H
0.9438 0.8246 0.0342 H
0.9796 0.2107 0.9928 H
0.9977 0.9553 0.6610 H
0.0467 0.7523 0.3346 C
0.2983 0.7397 0.7089 C
0.4491 0.8197 0.3303 C
0.5509 0.1803 0.6697 C
0.7017 0.2603 0.2911 C
0.9533 0.2477 0.6654 C
0.0410 0.8762 0.2922 O
0.0498 0.7057 0.2519 O
0.0536 0.6720 0.4474 O
0.0591 0.1155 0.3190 O
0.1122 0.0761 0.4317 O
0.1512 0.4082 0.9973 O
0.1515 0.6730 0.6360 O
0.1863 0.6768 0.0242 O
0.2908 0.8516 0.6352 O
0.3136 0.6377 0.7936 O
0.3453 0.2781 0.4221 O
0.3501 0.1786 0.8374 O
0.3771 0.9333 0.3047 O
0.3846 0.7155 0.3951 O
0.3949 0.1927 0.7027 O
0.4110 0.5462 0.2549 O
0.4353 0.4929 0.0027 O
0.5647 0.5071 0.9973 O
0.5890 0.4538 0.7451 O
0.6051 0.8073 0.2973 O
0.6154 0.2845 0.6049 O
0.6229 0.0667 0.6953 O
0.6499 0.8214 0.1626 O
0.6547 0.7219 0.5779 O
0.6864 0.3623 0.2064 O
0.7092 0.1484 0.3648 O
0.8137 0.3232 0.9758 O
0.8485 0.3270 0.3640 O
0.8488 0.5918 0.0027 O
0.8878 0.9239 0.5683 O
0.9409 0.8845 0.6810 O
0.9464 0.3280 0.5526 O
0.9502 0.2943 0.7481 O
0.9590 0.1238 0.7078 O